Entry 1:
This record from the Materials Project database describes a geometry-optimized Sr2LiCoWO6 structure. The functional is PBE with a Hubbard U.

The structure in POSCAR format:
```
Sr2LiCoWO6
1.0
-1.2853 -5.9626 0.3294
3.0568 -2.2150 5.3604
-4.0448 4.5773 -0.6979
Sr Co O W Li
2 1 6 1 1
Direct
0.2145 0.6905 0.4721
0.7854 0.3095 0.5279
0.0001 0.0000 0.0001
0.6685 0.7994 0.1251
0.6827 0.7066 0.5242
0.3315 0.2005 0.8750
0.3173 0.2934 0.4760
0.1827 0.7087 0.0384
0.8173 0.2913 0.9616
0.4999 0.5000 0.9998
0.5000 0.0000 0.5000
```

Properties
Its crystal system is triclinic. As for the symmetry: No. 2. The calculated total energy comes out at -6.46 eV per atom. As for the energy of formation: -2.39 eV/atom.

Entry 2:
This record from the Materials Project database describes a geometry-optimized Sr2LiCoWO6 structure. The functional is PBE with a Hubbard U.

The structure in POSCAR format:
```
Sr2LiCoWO6
1.0
5.0500 0.8656 -3.2814
-1.0680 5.3748 -3.6186
-0.2980 -0.8720 6.0863
Sr O Li W Co
2 6 1 1 1
Direct
0.7850 0.3092 0.5282
0.2150 0.6908 0.4718
0.3314 0.2014 0.8761
0.6685 0.7986 0.1241
0.6839 0.7050 0.5228
0.3162 0.2950 0.4772
0.1821 0.7100 0.0405
0.8179 0.2899 0.9595
0.5001 0.0000 0.4999
0.5000 0.5000 0.0000
0.0000 0.0000 0.0000
```

Properties
Its crystal system is triclinic. As for the symmetry: No. 2. The calculated total energy comes out at -6.42 eV per atom. As for the energy of formation: -2.35 eV/atom.

Entry 3:
This record from the Materials Project database describes a geometry-optimized Li3Co3TeO8 structure. The functional is PBE with a Hubbard U.

The structure in POSCAR format:
```
Li3Co3TeO8
1.0
5.2639 -3.0253 0.0000
5.2639 3.0253 0.0000
3.5253 0.0000 4.9431
O Te Co Li
8 1 3 3
Direct
0.2290 0.7714 0.7714
0.7366 0.7366 0.7366
0.7714 0.7714 0.2290
0.7714 0.2290 0.7714
0.2286 0.7710 0.2286
0.7710 0.2286 0.2286
0.2634 0.2634 0.2634
0.2286 0.2286 0.7710
0.0000 0.0000 0.0000
0.0000 0.5000 0.5000
0.5000 0.5000 0.0000
0.5000 0.0000 0.5000
0.0000 0.5000 0.0000
0.0000 0.0000 0.5000
0.5000 0.0000 0.0000
```

Properties
Its crystal system is trigonal. As for the symmetry: No. 166. The calculated total energy comes out at -5.53 eV per atom. As for the energy of formation: -1.57 eV/atom.

Entry 4:
This record from the Materials Project database describes a geometry-optimized Li4Co3TeO8 structure. The functional is PBE with a Hubbard U.

The structure in POSCAR format:
```
Li4Co3TeO8
1.0
-3.0870 -2.8206 -4.3231
2.9963 -3.2265 -4.0972
-0.4055 -5.9992 0.1410
Co Li O Te
3 4 8 1
Direct
0.5000 0.5000 0.0000
0.5000 0.0000 0.5000
0.0000 0.5000 0.5000
0.0000 0.5000 0.0000
0.0000 0.0000 0.5000
0.5000 0.0000 0.0000
0.5000 0.5000 0.5000
0.2307 0.7733 0.2307
0.2307 0.2307 0.7733
0.7693 0.2267 0.7693
0.7391 0.7391 0.7391
0.7693 0.7693 0.2267
0.2267 0.7693 0.7693
0.7733 0.2307 0.2307
0.2609 0.2609 0.2609
0.0000 0.0000 0.0000
```

Properties
Its crystal system is trigonal. As for the symmetry: No. 166. The calculated total energy comes out at -5.59 eV per atom. As for the energy of formation: -1.76 eV/atom.